Computed, not measured: a relaxed structure of Na2Ca5Hf3S12O48 at the GGA-PBE level of DFT.

Results
As for the energy of formation: -176.1 eV/f.u. Its space group is P1. Its magnetization is 0.00 μB/f.u. The theoretical density comes out at 2.8 Mg/m³.

Lattice parameters (Å, degrees): 18.1223 9.0635 23.8406 90.08 90.07 120.05
With the nearest neighbours (Å) after each atom.
Fractional positions:
Na1 0.0008 0.0007 0.5023  6 O 2.58-2.61
Na2 0.5052 0.0089 0.9965  4 O 2.44-2.61
Na3 0.3354 0.3369 0.8264  3 O 2.40-2.65
Na4 0.8312 0.3298 0.8284  3 O 2.43-2.68
Na5 0.3311 0.3344 0.3425  5 O 2.56-2.87
Na6 0.8352 0.3311 0.3330  5 O 2.51-2.81
Ca1 0.0031 0.0022 0.3567  6 O 2.27-2.42
Ca2 0.5009 0.0005 0.8555  6 O 2.25-2.43
Ca3 0.9999 0.9991 0.6480  6 O 2.25-2.33
Ca4 0.5030 0.0041 0.1474  6 O 2.22-2.30
Ca5 0.3277 0.3281 0.6803  6 O 2.30-2.46
Ca6 0.8389 0.3391 0.6822  6 O 2.31-2.46
Ca7 0.8274 0.3271 0.1810  6 O 2.29-2.46
Ca8 0.3284 0.3292 0.9812  6 O 2.23-2.32
Ca9 0.8385 0.3379 0.9843  6 O 2.24-2.34
Ca10 0.3387 0.3406 0.4870  6 O 2.22-2.41
Ca11 0.8286 0.3266 0.4852  6 O 2.21-2.36
Ca12 0.1611 0.6604 0.3078  6 O 2.27-2.37
Ca13 0.6730 0.6694 0.3087  6 O 2.22-2.34
Ca14 0.1733 0.6760 0.8071  6 O 2.19-2.36
Ca15 0.6603 0.6583 0.8061  6 O 2.22-2.37
Hf1 0.4985 0.9971 0.3551  6 O 2.01-2.20
Hf2 0.9989 0.9992 0.8545  6 O 2.01-2.17
Hf3 0.5004 0.0008 0.6490  6 O 2.02-2.10
Hf4 0.9980 0.9983 0.1484  6 O 2.01-2.12
Hf5 0.3375 0.3374 0.1828  6 O 2.04-2.15
Hf6 0.1638 0.6663 0.0177  6 O 2.01-2.23
Hf7 0.6699 0.6690 0.0169  6 O 2.02-2.22
Hf8 0.1690 0.6677 0.5181  6 O 2.01-2.21
Hf9 0.6638 0.6652 0.5185  6 O 2.01-2.20
S1 0.1503 0.0151 0.2444  4 O 1.45-1.53
S2 0.6447 0.0092 0.2550  4 O 1.45-1.55
S3 0.3585 0.7006 0.2505  4 O 1.45-1.54
S4 0.8591 0.7105 0.2485  4 O 1.46-1.54
S5 0.9964 0.2827 0.2481  4 O 1.46-1.53
S6 0.4913 0.2822 0.2512  4 O 1.45-1.54
S7 0.1455 0.2813 0.7549  4 O 1.45-1.54
S8 0.6455 0.2835 0.7483  4 O 1.46-1.53
S9 0.9956 0.7085 0.7547  4 O 1.45-1.55
S10 0.4958 0.7094 0.7482  4 O 1.46-1.52
S11 0.3590 0.0081 0.7485  4 O 1.46-1.52
S12 0.8582 0.0087 0.7545  4 O 1.45-1.55
S13 0.4872 0.3320 0.5833  4 O 1.46-1.51
S14 0.9884 0.3397 0.5790  4 O 1.46-1.52
S15 0.1820 0.0256 0.5783  4 O 1.47-1.51
S16 0.6786 0.0235 0.5838  4 O 1.46-1.52
S17 0.3340 0.6436 0.5835  4 O 1.46-1.50
S18 0.8299 0.6356 0.5788  4 O 1.46-1.54
S19 0.4829 0.6216 0.0818  4 O 1.46-1.55
S20 0.9871 0.6416 0.0835  4 O 1.46-1.51
S21 0.3283 0.0352 0.0820  4 O 1.45-1.53
S22 0.8331 0.0250 0.0832  4 O 1.46-1.51
S23 0.1856 0.3368 0.0861  4 O 1.45-1.52
S24 0.6821 0.3384 0.0783  4 O 1.46-1.51
S25 0.3109 0.6714 0.9205  4 O 1.45-1.55
S26 0.8132 0.6725 0.9147  4 O 1.45-1.52
S27 0.0248 0.3746 0.9157  4 O 1.45-1.54
S28 0.5228 0.3774 0.9195  4 O 1.46-1.53
S29 0.1617 0.9502 0.9154  4 O 1.45-1.54
S30 0.6663 0.9546 0.9198  4 O 1.46-1.54
S31 0.3138 0.9561 0.4136  4 O 1.46-1.53
S32 0.8106 0.9526 0.4196  4 O 1.46-1.53
S33 0.1681 0.3788 0.4189  4 O 1.46-1.51
S34 0.6621 0.3710 0.4145  4 O 1.45-1.53
S35 0.0225 0.6668 0.4191  4 O 1.47-1.52
S36 0.5226 0.6728 0.4142  4 O 1.45-1.53
O1 0.1210 0.0542 0.2967  1 S 1.47
O2 0.5919 0.0213 0.3037  1 S 1.55
O3 0.4141 0.7834 0.3014  1 S 1.51
O4 0.9086 0.7915 0.2995  1 S 1.47
O5 0.4759 0.1669 0.3011  1 S 1.51
O6 0.9881 0.1860 0.2994  1 S 1.47
O7 0.0947 0.1696 0.8051  1 S 1.54
O8 0.6067 0.1872 0.7999  1 S 1.47
O9 0.4867 0.7867 0.8001  1 S 1.47
O10 0.9903 0.8106 0.8050  1 S 1.55
O11 0.4065 0.0254 0.8004  1 S 1.47
O12 0.9148 0.0201 0.8049  1 S 1.55
O13 0.4095 0.0037 0.6981  1 S 1.52
O14 0.8975 0.9959 0.7025  1 S 1.46
O15 0.1007 0.2032 0.7025  1 S 1.46
O16 0.5921 0.1820 0.6980  1 S 1.53
O17 0.0017 0.7987 0.7025  1 S 1.46
O18 0.4982 0.8156 0.6980  1 S 1.52
O19 0.3965 0.8003 0.2001  1 S 1.45
O20 0.9097 0.8164 0.1976  1 S 1.54
O21 0.9994 0.1811 0.1974  1 S 1.53
O22 0.5028 0.2081 0.2001  1 S 1.45
O23 0.0937 0.9987 0.1965  1 S 1.49
O24 0.5999 0.9960 0.2026  1 S 1.46
O25 0.4532 0.3783 0.6315  1 S 1.46
O26 0.9547 0.3717 0.6308  1 S 1.47
O27 0.2314 0.0918 0.6302  1 S 1.47
O28 0.7357 0.0926 0.6322  1 S 1.46
O29 0.3106 0.5302 0.6320  1 S 1.46
O30 0.8142 0.5356 0.6302  1 S 1.46
O31 0.4381 0.5094 0.1334  1 S 1.55
O32 0.9535 0.5289 0.1322  1 S 1.46
O33 0.3173 0.1258 0.1328  1 S 1.53
O34 0.8107 0.0910 0.1325  1 S 1.47
O35 0.2472 0.3715 0.1344  1 S 1.52
O36 0.7304 0.3697 0.1308  1 S 1.47
O37 0.2151 0.2900 0.0365  1 S 1.45
O38 0.7248 0.3114 0.0306  1 S 1.46
O39 0.4285 0.5425 0.0331  1 S 1.46
O40 0.9324 0.5784 0.0342  1 S 1.46
O41 0.3433 0.1402 0.0325  1 S 1.45
O42 0.8561 0.1369 0.0346  1 S 1.46
O43 0.2243 0.1368 0.5300  1 S 1.47
O44 0.7108 0.1321 0.5342  1 S 1.46
O45 0.3570 0.5774 0.5344  1 S 1.47
O46 0.8423 0.5529 0.5299  1 S 1.46
O47 0.4325 0.2867 0.5335  1 S 1.47
O48 0.9330 0.3138 0.5308  1 S 1.46
O49 0.2587 0.6753 0.9712  1 S 1.55
O50 0.7707 0.6940 0.9668  1 S 1.52
O51 0.0776 0.4613 0.9688  1 S 1.54
O52 0.5770 0.4827 0.9693  1 S 1.53
O53 0.1519 0.8410 0.9671  1 S 1.54
O54 0.6646 0.8502 0.9709  1 S 1.54
O55 0.2747 0.8524 0.4648  1 S 1.49
O56 0.7577 0.8441 0.4691  1 S 1.53
O57 0.1675 0.4806 0.4690  1 S 1.51
O58 0.6494 0.4544 0.4651  1 S 1.50
O59 0.0777 0.6722 0.4678  1 S 1.52
O60 0.5737 0.6950 0.4663  1 S 1.50
O61 0.0620 0.6575 0.3665  1 S 1.47
O62 0.5626 0.6478 0.3653  1 S 1.45
O63 0.2617 0.8778 0.3637  1 S 1.46
O64 0.7655 0.8719 0.3677  1 S 1.46
O65 0.1725 0.4700 0.3672  1 S 1.46
O66 0.6756 0.4734 0.3646  1 S 1.45
O67 0.0652 0.4813 0.8673  1 S 1.45
O68 0.5625 0.4664 0.8677  1 S 1.46
O69 0.1761 0.8747 0.8662  1 S 1.45
O70 0.6703 0.8702 0.8687  1 S 1.46
O71 0.2655 0.6610 0.8691  1 S 1.45
O72 0.7602 0.6458 0.8657  1 S 1.45
O73 0.0192 0.8268 0.4226  1 S 1.48
O74 0.5173 0.8347 0.4073  1 S 1.53
O75 0.3990 0.9631 0.4054  1 S 1.53
O76 0.8942 0.9614 0.4234  1 S 1.48
O77 0.0884 0.2119 0.4224  1 S 1.48
O78 0.5805 0.1997 0.4064  1 S 1.53
O79 0.0211 0.2062 0.9105  1 S 1.50
O80 0.5193 0.2112 0.9239  1 S 1.48
O81 0.0814 0.9575 0.9106  1 S 1.49
O82 0.5865 0.9612 0.9240  1 S 1.48
O83 0.3940 0.8295 0.9251  1 S 1.47
O84 0.8976 0.8348 0.9092  1 S 1.51
O85 0.5026 0.1888 0.5966  1 S 1.49
O86 0.0028 0.1938 0.5835  1 S 1.48
O87 0.0941 0.9938 0.5827  1 S 1.47
O88 0.5919 0.9954 0.5972  1 S 1.50
O89 0.4065 0.8171 0.5970  1 S 1.49
O90 0.9024 0.8112 0.5834  1 S 1.47
O91 0.4949 0.7922 0.0909  1 S 1.47
O92 0.0034 0.8174 0.0971  1 S 1.50
O93 0.3996 0.0054 0.0914  1 S 1.46
O94 0.9067 0.9968 0.0963  1 S 1.51
O95 0.1002 0.1936 0.1023  1 S 1.49
O96 0.5938 0.1932 0.0820  1 S 1.48
O97 0.3492 0.1599 0.7427  1 S 1.48
O98 0.8548 0.1684 0.7564  1 S 1.48
O99 0.2294 0.2901 0.7570  1 S 1.48
O100 0.7310 0.3025 0.7418  1 S 1.48
O101 0.4198 0.5377 0.7420  1 S 1.48
O102 0.9159 0.5415 0.7567  1 S 1.48
O103 0.3533 0.5263 0.2430  1 S 1.54
O104 0.8495 0.5401 0.2423  1 S 1.47
O105 0.4096 0.2931 0.2438  1 S 1.54
O106 0.9205 0.3013 0.2417  1 S 1.47
O107 0.2370 0.1711 0.2311  1 S 1.53
O108 0.7282 0.1679 0.2576  1 S 1.48
O109 0.3185 0.5180 0.9257  1 S 1.47
O110 0.8285 0.5291 0.9229  1 S 1.47
O111 0.4374 0.3587 0.9247  1 S 1.48
O112 0.9384 0.3465 0.9238  1 S 1.47
O113 0.2341 0.1232 0.9240  1 S 1.47
O114 0.7427 0.1247 0.9249  1 S 1.47
O115 0.3312 0.1326 0.4204  1 S 1.48
O116 0.8188 0.1221 0.4245  1 S 1.47
O117 0.2444 0.3594 0.4231  1 S 1.48
O118 0.7335 0.3399 0.4221  1 S 1.47
O119 0.4350 0.5286 0.4210  1 S 1.48
O120 0.9369 0.5151 0.4238  1 S 1.47
O121 0.1774 0.4912 0.0769  1 S 1.50
O122 0.6757 0.4958 0.0672  1 S 1.51
O123 0.0736 0.6643 0.0695  1 S 1.51
O124 0.5668 0.6309 0.0756  1 S 1.49
O125 0.2477 0.8671 0.0743  1 S 1.50
O126 0.7593 0.8519 0.0702  1 S 1.50
O127 0.1760 0.8558 0.5666  1 S 1.51
O128 0.6648 0.8478 0.5699  1 S 1.52
O129 0.2604 0.6689 0.5694  1 S 1.50
O130 0.7506 0.6507 0.5670  1 S 1.54
O131 0.0752 0.4965 0.5682  1 S 1.52
O132 0.5734 0.4814 0.5686  1 S 1.51
O133 0.1596 0.8653 0.2466  1 S 1.45
O134 0.6509 0.8574 0.2632  1 S 1.45
O135 0.2731 0.6708 0.2602  1 S 1.45
O136 0.7776 0.7062 0.2469  1 S 1.46
O137 0.0761 0.4464 0.2466  1 S 1.46
O138 0.5617 0.4523 0.2613  1 S 1.45
O139 0.1526 0.4467 0.7622  1 S 1.45
O140 0.6475 0.4465 0.7472  1 S 1.46
O141 0.0711 0.6940 0.7623  1 S 1.45
O142 0.5754 0.7055 0.7469  1 S 1.46
O143 0.2772 0.8491 0.7467  1 S 1.46
O144 0.7756 0.8580 0.7624  1 S 1.45